# Na3Ti8O16 | Materials Project | PBE | optimized geometry
data_Na3Ti8O16
_cell_length_a 2.978
_cell_length_b 9.292
_cell_length_c 10.803
_cell_angle_alpha 89.89
_cell_angle_beta 90.00
_cell_angle_gamma 90.00
_symmetry_space_group_name_H-M 'P 1'
_symmetry_Int_Tables_number 1
loop_
_symmetry_equiv_pos_as_xyz
'x,y,z'
loop_
_atom_site_label
_atom_site_type_symbol
_atom_site_fract_x
_atom_site_fract_y
_atom_site_fract_z
Na1 Na 0.500 0.757 0.346
Na2 Na 0.000 0.743 0.847
Na3 Na 0.000 0.243 0.653
Ti1 Ti 0.500 0.434 0.384
Ti2 Ti 0.500 0.943 0.111
Ti3 Ti 0.000 0.562 0.610
Ti4 Ti 0.000 0.065 0.892
Ti5 Ti 0.500 0.416 0.902
Ti6 Ti 0.500 0.919 0.602
Ti7 Ti 0.000 0.582 0.104
Ti8 Ti 0.000 0.085 0.393
O1 O 0.500 0.207 0.850
O2 O 0.500 0.708 0.648
O3 O 0.000 0.793 0.147
O4 O 0.000 0.293 0.360
O5 O 0.500 0.112 0.520
O6 O 0.500 0.614 0.980
O7 O 0.000 0.887 0.480
O8 O 0.000 0.388 0.014
O9 O 0.500 0.422 0.570
O10 O 0.500 0.921 0.928
O11 O 0.000 0.577 0.429
O12 O 0.000 0.074 0.070
O13 O 0.500 0.017 0.284
O14 O 0.500 0.527 0.219
O15 O 0.000 0.977 0.717
O16 O 0.000 0.478 0.782
# - volume (Å³/cell) = 298.91
# - total energy after the MP2020 corrections (eV/atom) = -8.625
# - space group = Pm, No. 6
# - DFT formation energy (kJ/mol of formula units) = -8354
# - electronic total energy (eV per atom) = -8.218

# Na6Ti2O7 | Materials Project | PBE | optimized geometry
data_Na6Ti2O7
_cell_length_a 5.406
_cell_length_b 8.922
_cell_length_c 10.369
_cell_angle_alpha 62.71
_cell_angle_beta 90.00
_cell_angle_gamma 90.00
_symmetry_space_group_name_H-M 'P 1'
_symmetry_Int_Tables_number 1
loop_
_symmetry_equiv_pos_as_xyz
'x,y,z'
loop_
_atom_site_label
_atom_site_type_symbol
_atom_site_fract_x
_atom_site_fract_y
_atom_site_fract_z
Na1 Na 0.225 0.334 0.880
Na2 Na 0.779 0.572 0.865
Na3 Na 0.803 0.067 0.846
Na4 Na 0.779 0.428 0.635
Na5 Na 0.225 0.666 0.620
Na6 Na 0.803 0.933 0.654
Na7 Na 0.197 0.067 0.346
Na8 Na 0.775 0.334 0.380
Na9 Na 0.221 0.572 0.365
Na10 Na 0.197 0.933 0.154
Na11 Na 0.221 0.428 0.135
Na12 Na 0.775 0.666 0.120
Ti1 Ti 0.306 0.788 0.896
Ti2 Ti 0.306 0.212 0.604
Ti3 Ti 0.694 0.788 0.396
Ti4 Ti 0.694 0.212 0.104
O1 O 0.790 0.273 0.917
O2 O 0.226 0.613 0.860
O3 O 0.638 0.808 0.888
O4 O 0.226 0.387 0.640
O5 O 0.171 0.000 0.750
O6 O 0.790 0.727 0.583
O7 O 0.638 0.192 0.612
O8 O 0.362 0.808 0.388
O9 O 0.210 0.273 0.417
O10 O 0.829 0.000 0.250
O11 O 0.774 0.613 0.360
O12 O 0.362 0.192 0.112
O13 O 0.774 0.387 0.140
O14 O 0.210 0.727 0.083
# - volume (Å³/cell) = 444.45
# - total energy after the MP2020 corrections (eV/atom) = -6.447
# - space group = P2/c, No. 13
# - DFT formation energy (kJ/mol of formula units) = -3700
# - electronic total energy (eV per atom) = -6.127

# Na8TiO6 | Materials Project | PBE | optimized geometry
data_Na8TiO6
_cell_length_a 6.631
_cell_length_b 9.592
_cell_length_c 13.939
_cell_angle_alpha 90.00
_cell_angle_beta 90.00
_cell_angle_gamma 90.00
_symmetry_space_group_name_H-M 'P 1'
_symmetry_Int_Tables_number 1
loop_
_symmetry_equiv_pos_as_xyz
'x,y,z'
loop_
_atom_site_label
_atom_site_type_symbol
_atom_site_fract_x
_atom_site_fract_y
_atom_site_fract_z
Na1 Na 0.512 0.774 0.013
Na2 Na 0.273 0.525 0.063
Na3 Na 0.918 0.190 0.071
Na4 Na 0.940 0.831 0.077
Na5 Na 0.337 0.011 0.115
Na6 Na 0.550 0.818 0.220
Na7 Na 0.579 0.199 0.229
Na8 Na 0.921 0.007 0.250
Na9 Na 0.421 0.507 0.250
Na10 Na 0.079 0.699 0.271
Na11 Na 0.050 0.318 0.280
Na12 Na 0.837 0.511 0.385
Na13 Na 0.440 0.331 0.423
Na14 Na 0.418 0.690 0.429
Na15 Na 0.773 0.025 0.437
Na16 Na 0.012 0.274 0.487
Na17 Na 0.988 0.774 0.513
Na18 Na 0.227 0.525 0.563
Na19 Na 0.582 0.190 0.571
Na20 Na 0.560 0.831 0.577
Na21 Na 0.163 0.011 0.615
Na22 Na 0.950 0.818 0.720
Na23 Na 0.921 0.199 0.729
Na24 Na 0.579 0.007 0.750
Na25 Na 0.079 0.507 0.750
Na26 Na 0.421 0.699 0.771
Na27 Na 0.450 0.318 0.780
Na28 Na 0.663 0.511 0.885
Na29 Na 0.060 0.331 0.923
Na30 Na 0.082 0.690 0.929
Na31 Na 0.727 0.025 0.937
Na32 Na 0.488 0.274 0.987
Ti1 Ti 0.781 0.512 0.124
Ti2 Ti 0.281 0.012 0.376
Ti3 Ti 0.719 0.512 0.624
Ti4 Ti 0.219 0.012 0.876
O1 O 0.790 0.628 0.017
O2 O 0.558 0.397 0.121
O3 O 0.709 0.005 0.118
O4 O 0.258 0.758 0.126
O5 O 0.008 0.403 0.126
O6 O 0.750 0.617 0.234
O7 O 0.250 0.117 0.266
O8 O 0.508 0.903 0.374
O9 O 0.758 0.258 0.374
O10 O 0.209 0.505 0.382
O11 O 0.058 0.897 0.379
O12 O 0.290 0.128 0.483
O13 O 0.710 0.628 0.517
O14 O 0.942 0.397 0.621
O15 O 0.791 0.005 0.618
O16 O 0.242 0.758 0.626
O17 O 0.492 0.403 0.626
O18 O 0.750 0.617 0.734
O19 O 0.250 0.117 0.766
O20 O 0.992 0.903 0.874
O21 O 0.742 0.258 0.874
O22 O 0.291 0.505 0.882
O23 O 0.442 0.897 0.879
O24 O 0.210 0.128 0.983
# - volume (Å³/cell) = 886.58
# - total energy after the MP2020 corrections (eV/atom) = -5.184
# - maximum piezoelectric response (C/m2) = 0.7
# - space group = Pna2_1, No. 33
# - DFT formation energy (kJ/mol of formula units) = -2855
# - electronic total energy (eV per atom) = -4.909

# Na5Ti16O32 | Materials Project | PBE | optimized geometry
data_Na5Ti16O32
_cell_length_a 5.949
_cell_length_b 9.630
_cell_length_c 11.389
_cell_angle_alpha 90.56
_cell_angle_beta 90.04
_cell_angle_gamma 90.06
_symmetry_space_group_name_H-M 'P 1'
_symmetry_Int_Tables_number 1
loop_
_symmetry_equiv_pos_as_xyz
'x,y,z'
loop_
_atom_site_label
_atom_site_type_symbol
_atom_site_fract_x
_atom_site_fract_y
_atom_site_fract_z
Na1 Na 0.627 0.117 0.419
Na2 Na 0.390 0.395 0.924
Na3 Na 0.109 0.604 0.076
Na4 Na 0.881 0.894 0.575
Na5 Na 0.369 0.895 0.575
Ti1 Ti 0.879 0.020 0.877
Ti2 Ti 0.372 0.016 0.879
Ti3 Ti 0.626 0.239 0.670
Ti4 Ti 0.124 0.231 0.655
Ti5 Ti 0.875 0.270 0.154
Ti6 Ti 0.375 0.262 0.170
Ti7 Ti 0.120 0.481 0.380
Ti8 Ti 0.630 0.486 0.379
Ti9 Ti 0.871 0.515 0.624
Ti10 Ti 0.379 0.517 0.621
Ti11 Ti 0.124 0.739 0.831
Ti12 Ti 0.625 0.731 0.845
Ti13 Ti 0.875 0.763 0.335
Ti14 Ti 0.375 0.763 0.335
Ti15 Ti 0.625 0.980 0.121
Ti16 Ti 0.125 0.986 0.123
O1 O 0.875 0.100 0.041
O2 O 0.375 0.100 0.040
O3 O 0.623 0.127 0.811
O4 O 0.127 0.125 0.806
O5 O 0.626 0.136 0.228
O6 O 0.124 0.140 0.228
O7 O 0.868 0.138 0.593
O8 O 0.381 0.140 0.592
O9 O 0.619 0.351 0.091
O10 O 0.132 0.358 0.092
O11 O 0.877 0.361 0.727
O12 O 0.374 0.363 0.728
O13 O 0.872 0.374 0.307
O14 O 0.378 0.374 0.312
O15 O 0.625 0.397 0.539
O16 O 0.125 0.398 0.539
O17 O 0.876 0.602 0.462
O18 O 0.375 0.602 0.461
O19 O 0.125 0.631 0.686
O20 O 0.626 0.629 0.691
O21 O 0.625 0.640 0.273
O22 O 0.125 0.636 0.271
O23 O 0.881 0.648 0.908
O24 O 0.368 0.643 0.907
O25 O 0.625 0.859 0.414
O26 O 0.125 0.849 0.415
O27 O 0.874 0.864 0.769
O28 O 0.376 0.862 0.769
O29 O 0.877 0.874 0.191
O30 O 0.372 0.874 0.192
O31 O 0.625 0.899 0.958
O32 O 0.124 0.899 0.958
# - volume (Å³/cell) = 652.41
# - total energy after the MP2020 corrections (eV/atom) = -8.747
# - space group = P1, No. 1
# - DFT formation energy (kJ/mol of formula units) = -16627
# - electronic total energy (eV per atom) = -8.332

Question: The highest DFT formation energy belongs to which entry?
Answer: Na8TiO6

Please write out number 1 again, unchanged.
# Na3Ti8O16 | Materials Project | PBE | optimized geometry
data_Na3Ti8O16
_cell_length_a 2.978
_cell_length_b 9.292
_cell_length_c 10.803
_cell_angle_alpha 89.89
_cell_angle_beta 90.00
_cell_angle_gamma 90.00
_symmetry_space_group_name_H-M 'P 1'
_symmetry_Int_Tables_number 1
loop_
_symmetry_equiv_pos_as_xyz
'x,y,z'
loop_
_atom_site_label
_atom_site_type_symbol
_atom_site_fract_x
_atom_site_fract_y
_atom_site_fract_z
Na1 Na 0.500 0.757 0.346
Na2 Na 0.000 0.743 0.847
Na3 Na 0.000 0.243 0.653
Ti1 Ti 0.500 0.434 0.384
Ti2 Ti 0.500 0.943 0.111
Ti3 Ti 0.000 0.562 0.610
Ti4 Ti 0.000 0.065 0.892
Ti5 Ti 0.500 0.416 0.902
Ti6 Ti 0.500 0.919 0.602
Ti7 Ti 0.000 0.582 0.104
Ti8 Ti 0.000 0.085 0.393
O1 O 0.500 0.207 0.850
O2 O 0.500 0.708 0.648
O3 O 0.000 0.793 0.147
O4 O 0.000 0.293 0.360
O5 O 0.500 0.112 0.520
O6 O 0.500 0.614 0.980
O7 O 0.000 0.887 0.480
O8 O 0.000 0.388 0.014
O9 O 0.500 0.422 0.570
O10 O 0.500 0.921 0.928
O11 O 0.000 0.577 0.429
O12 O 0.000 0.074 0.070
O13 O 0.500 0.017 0.284
O14 O 0.500 0.527 0.219
O15 O 0.000 0.977 0.717
O16 O 0.000 0.478 0.782
# - volume (Å³/cell) = 298.91
# - total energy after the MP2020 corrections (eV/atom) = -8.625
# - space group = Pm, No. 6
# - DFT formation energy (kJ/mol of formula units) = -8354
# - electronic total energy (eV per atom) = -8.218

Question: The highest total energy after the MP2020 corrections belongs to which entry?
Answer: Na8TiO6